No. 1
The following is a r2SCAN calculation of an optimized crystal structure of NaYCl4, from the Materials Project database.

Cell lengths 6.6107, 6.7048, 6.9570 Å; angles 89.40, 88.00, 78.86 degrees
Last column: nearest neighbours and their distance in Å.
Sites, in units of the cell vectors:
Na (0.2312, 0.1951, 0.5353)  6 Cl 2.73-2.99
Na (0.7688, 0.8049, 0.4647)  6 Cl 2.73-2.99
Y (0.7895, 0.3000, 0.0543)  7 Cl 2.58-2.79
Y (0.2105, 0.7000, 0.9457)  7 Cl 2.58-2.79
Cl (0.6089, 0.2065, 0.3679)  1 Y 2.58, 2 Na 2.73-2.78
Cl (0.3911, 0.7935, 0.6321)  1 Y 2.58, 2 Na 2.73-2.78
Cl (0.0967, 0.0027, 0.2080)  2 Y 2.72-2.79, 1 Na 2.88
Cl (0.9033, 0.9973, 0.7920)  2 Y 2.72-2.79, 1 Na 2.88
Cl (0.0482, 0.5028, 0.2451)  2 Y 2.75-2.76, 2 Na 2.88-2.99
Cl (0.9518, 0.4972, 0.7549)  2 Y 2.75-2.76, 2 Na 2.88-2.99
Cl (0.5676, 0.6880, 0.1204)  2 Y 2.68-2.76, 1 Na 2.96
Cl (0.4324, 0.3120, 0.8796)  2 Y 2.68-2.76, 1 Na 2.96

## Properties
Uncorrected energy: -10.453 eV/atom


No. 2
The following is a r2SCAN calculation of an optimized crystal structure of NaYbCl4, from the Materials Project database.

Cell lengths 6.2780, 6.6940, 7.5717 Å; angles 90.00, 90.00, 92.45 degrees
Last column: nearest neighbours and their distance in Å.
Sites, in units of the cell vectors:
Na (0.0000, 0.7500, 0.8556)  6 Cl 2.73-2.87
Na (0.0000, 0.2500, 0.1444)  6 Cl 2.73-2.87
Yb (0.5000, 0.7500, 0.3474)  6 Cl 2.50-2.68
Yb (0.5000, 0.2500, 0.6526)  6 Cl 2.50-2.68
Cl (0.7547, 0.4040, 0.8727)  1 Yb 2.50, 2 Na 2.73-2.79
Cl (0.2453, 0.5960, 0.1273)  1 Yb 2.50, 2 Na 2.73-2.79
Cl (0.2453, 0.0960, 0.8727)  1 Yb 2.50, 2 Na 2.73-2.79
Cl (0.7547, 0.9040, 0.1273)  1 Yb 2.50, 2 Na 2.73-2.79
Cl (0.7237, 0.9331, 0.6071)  2 Yb 2.62-2.68, 1 Na 2.87
Cl (0.2763, 0.0669, 0.3929)  2 Yb 2.62-2.68, 1 Na 2.87
Cl (0.2763, 0.5669, 0.6071)  2 Yb 2.62-2.68, 1 Na 2.87
Cl (0.7237, 0.4331, 0.3929)  2 Yb 2.62-2.68, 1 Na 2.87

## Properties
Uncorrected energy: -13.158 eV/atom


No. 3
The following is a r2SCAN calculation of an optimized crystal structure of Nb3Cl8, from the Materials Project database.

Cell lengths 6.8013, 6.8013, 12.7679 Å; angles 90.00, 90.00, 120.00 degrees
Last column: nearest neighbours and their distance in Å.
Sites, in units of the cell vectors:
Nb (0.5289, 0.0578, 0.2458)  6 Cl 2.45-2.67
Nb (0.9422, 0.4711, 0.2458)  6 Cl 2.45-2.67
Nb (0.5289, 0.4711, 0.2458)  6 Cl 2.45-2.67
Nb (0.4711, 0.9422, 0.7542)  6 Cl 2.45-2.67
Nb (0.4711, 0.5289, 0.7542)  6 Cl 2.45-2.67
Nb (0.0578, 0.5289, 0.7542)  6 Cl 2.45-2.67
Cl (0.6667, 0.3334, 0.1008)  3 Nb 2.46
Cl (0.3333, 0.6666, 0.8992)  3 Nb 2.46
Cl (0.3333, 0.6667, 0.3515)  3 Nb 2.67
Cl (0.6667, 0.3333, 0.6485)  3 Nb 2.67
Cl (0.6699, 0.8350, 0.1397)  2 Nb 2.55
Cl (0.1651, 0.8350, 0.1397)  2 Nb 2.55
Cl (0.1651, 0.3301, 0.1397)  2 Nb 2.55
Cl (0.8349, 0.1650, 0.8603)  2 Nb 2.55
Cl (0.3301, 0.1650, 0.8603)  2 Nb 2.55
Cl (0.8349, 0.6699, 0.8603)  2 Nb 2.55
Cl (0.3369, 0.1685, 0.3752)  2 Nb 2.45
Cl (0.8315, 0.1685, 0.3752)  2 Nb 2.45
Cl (0.8316, 0.6631, 0.3752)  2 Nb 2.45
Cl (0.1684, 0.8315, 0.6248)  2 Nb 2.45
Cl (0.6631, 0.8316, 0.6248)  2 Nb 2.45
Cl (0.1685, 0.3369, 0.6248)  2 Nb 2.45

## Properties
Uncorrected energy: -12.674 eV/atom


Number 1: calculated formation energy -2372 meV per atom, M_tot 0.000 μB/cell. Number 2: calculated formation energy -2374 meV per atom, M_tot 0.000 μB/cell. Number 3: calculated formation energy -1454 meV per atom, M_tot 1.993 μB/cell.